Below is crystalline Ca3MgFe2C6O18 at its relaxed geometry, with properties calculated at the PBE with a Hubbard U level.

## Properties
E (MP2020): -7.9814 eV per atom
ΔE_f: -2.348 eV per atom
Magnetization: 8.00 Bohr magnetons per cell

Unit cell a=4.8948 b=4.8948 c=16.2063 alpha=90.00 beta=90.00 gamma=120.00
Space group P-3 (No. 147)
Unique sites:
1 Ca 0.0000 0.0000 0.0000
2 Ca 0.3333 0.6667 0.6665
3 Mg 0.0000 0.0000 0.5000
4 Fe 0.3333 0.6667 0.1667
5 C 0.0000 0.0000 0.2437
6 C 0.3333 0.6667 0.4233
7 C 0.3333 0.6667 0.9104
8 O 0.0262 0.2776 0.2449
9 O 0.0557 0.4154 0.9116
10 O 0.0849 0.6982 0.4224